1.
Here is a relaxed structure of Na3MgZrP3O12 from the Materials Project. Energies are from GGA-PBE.

Geometry as CIF:
```
data_Na3MgZrP3O12
_chemical_formula_sum 'Na36 Mg12 Zr12 P36 O144'
_cell_length_a 15.707
_cell_length_b 9.050
_cell_length_c 22.332
_cell_angle_alpha 90.00
_cell_angle_beta 90.23
_cell_angle_gamma 90.00
_space_group_name_H-M_alt 'C 1 c 1'
_space_group_IT_number 9
_space_group_name_Hall 'C -2yc'
loop_
_atom_site_label
_atom_site_fract_x
_atom_site_fract_y
_atom_site_fract_z
_atom_site_occupancy
Na1 0.000 0.003 0.000 1
Na2 0.002 0.365 0.245 1
Na3 0.009 0.310 0.580 1
Na4 0.169 0.139 0.413 1
Na5 0.174 0.471 0.167 1
Na6 0.175 0.192 0.747 1
Na7 0.330 0.005 0.833 1
Na8 0.335 0.363 0.580 1
Na9 0.478 0.175 0.413 1
Mg1 0.168 0.498 0.307 1
Mg2 0.329 0.008 0.973 1
Mg3 0.498 0.497 0.640 1
Zr1 0.165 0.493 0.009 1
Zr2 0.328 0.009 0.176 1
Zr3 0.492 0.498 0.842 1
P1 0.015 0.355 0.405 1
P2 0.142 0.149 0.242 1
P3 0.165 0.201 0.901 1
P4 0.180 0.147 0.571 1
P5 0.311 0.349 0.408 1
P6 0.334 0.298 0.072 1
P7 0.346 0.353 0.735 1
P8 0.477 0.149 0.572 1
P9 0.498 0.202 0.238 1
O1 0.006 0.201 0.682 1
O2 0.010 0.182 0.403 1
O3 0.059 0.417 0.349 1
O4 0.066 0.430 0.070 1
O5 0.074 0.387 0.461 1
O6 0.077 0.400 0.743 1
O7 0.079 0.109 0.904 1
O8 0.084 0.113 0.189 1
O9 0.089 0.089 0.577 1
O10 0.102 0.082 0.300 1
O11 0.154 0.316 0.247 1
O12 0.155 0.311 0.956 1
O13 0.171 0.289 0.844 1
O14 0.176 0.322 0.571 1
O15 0.224 0.092 0.514 1
O16 0.230 0.067 0.237 1
O17 0.237 0.110 0.627 1
O18 0.239 0.093 0.910 1
O19 0.252 0.399 0.070 1
O20 0.253 0.386 0.356 1
O21 0.256 0.414 0.743 1
O22 0.271 0.410 0.468 1
O23 0.323 0.180 0.412 1
O24 0.323 0.202 0.130 1
O25 0.342 0.178 0.736 1
O26 0.344 0.197 0.018 1
O27 0.387 0.407 0.677 1
O28 0.402 0.419 0.404 1
O29 0.407 0.390 0.789 1
O30 0.412 0.400 0.078 1
O31 0.418 0.098 0.238 1
O32 0.425 0.114 0.515 1
O33 0.427 0.075 0.912 1
O34 0.431 0.077 0.627 1
O35 0.487 0.316 0.579 1
O36 0.490 0.301 0.296 1
```

Values from the calculation:
For the energy above the most stable polymorph in this dataset, the calculation gives 3 meV/atom. The formation energy from the elements comes out at -2.9315 eV per atom.

2.
Here is a relaxed structure of CuI2O6 from the Materials Project. Energies are from GGA-PBE.

Geometry as CIF:
```
data_CuI2O6
_chemical_formula_sum 'Cu2 I4 O12'
_cell_length_a 5.649
_cell_length_b 5.275
_cell_length_c 9.328
_cell_angle_alpha 90.00
_cell_angle_beta 97.30
_cell_angle_gamma 90.00
_space_group_name_H-M_alt 'P 1 21 1'
_space_group_IT_number 4
_space_group_name_Hall 'P 2yb'
loop_
_atom_site_label
_atom_site_fract_x
_atom_site_fract_y
_atom_site_fract_z
_atom_site_occupancy
Cu1 0.219 0.000 0.246 1
I1 0.258 0.909 0.902 1
I2 0.267 0.400 0.566 1
O1 0.020 0.209 0.616 1
O2 0.089 0.682 0.772 1
O3 0.134 0.803 0.067 1
O4 0.358 0.194 0.418 1
O5 0.456 0.243 0.082 1
O6 0.498 0.276 0.708 1
```

Values from the calculation:
The formation energy from the elements comes out at -0.8261 eV per atom.

3.
Here is a relaxed structure of Na2ZnPH15O12 from the Materials Project. Energies are from GGA-PBE.

Geometry as CIF:
```
data_Na2ZnPH15O12
_chemical_formula_sum 'Na8 Zn4 P4 H60 O48'
_cell_length_a 8.666
_cell_length_b 21.624
_cell_length_c 6.465
_cell_angle_alpha 90.00
_cell_angle_beta 109.69
_cell_angle_gamma 90.00
_space_group_name_H-M_alt 'P 1 21/c 1'
_space_group_IT_number 14
_space_group_name_Hall '-P 2ybc'
loop_
_atom_site_label
_atom_site_fract_x
_atom_site_fract_y
_atom_site_fract_z
_atom_site_occupancy
Na1 0.193 0.029 0.022 1
Na2 0.271 0.192 0.031 1
Zn1 0.365 0.745 0.496 1
P1 0.187 0.643 0.137 1
H1 0.010 0.627 0.430 1
H2 0.017 0.241 0.655 1
H3 0.033 0.050 0.342 1
H4 0.049 0.647 0.676 1
H5 0.073 0.201 0.305 1
H6 0.106 0.519 0.884 1
H7 0.175 0.139 0.581 1
H8 0.317 0.096 0.719 1
H9 0.317 0.578 0.815 1
H10 0.318 0.600 0.580 1
H11 0.325 0.519 0.210 1
H12 0.358 0.114 0.405 1
H13 0.436 0.199 0.668 1
H14 0.474 0.028 0.813 1
H15 0.496 0.600 0.179 1
O1 0.008 0.628 0.122 1
O2 0.032 0.125 0.946 1
O3 0.045 0.011 0.270 1
O4 0.116 0.238 0.251 1
O5 0.179 0.699 0.976 1
O6 0.272 0.587 0.071 1
O7 0.284 0.662 0.379 1
O8 0.294 0.140 0.672 1
O9 0.340 0.565 0.681 1
O10 0.357 0.021 0.793 1
O11 0.383 0.106 0.271 1
O12 0.500 0.238 0.690 1
```

Values from the calculation:
The formation energy from the elements comes out at -1.5790 eV per atom.

Question: Among the records above, which one has the lowest formation energy from the elements?
Answer: Na3MgZrP3O12

Question: Which value of formation energy from the elements does entry 1 give?
Answer: -2.9315 eV per atom